Entry from the Materials Project: a geometry-optimized La4B4Br5 structure (r2SCAN).

```
data_La4B4Br5
_chemical_formula_sum 'La16 B16 Br20'
_symmetry_space_group_name_H-M 'C 1 2/m 1'
_symmetry_Int_Tables_number 12
_cell_length_a 18.346
_cell_length_b 4.308
_cell_length_c 19.550
_cell_angle_alpha 90.00
_cell_angle_beta 116.30
_cell_angle_gamma 90.00
loop_
_symmetry_equiv_pos_as_xyz
'x,y,z'
'-x,-y,-z'
'-x,y,-z'
'x,-y,z'
'x+1/2,y+1/2,z'
'-x+1/2,-y+1/2,-z'
'-x+1/2,y+1/2,-z'
'x+1/2,-y+1/2,z'
loop_
_atom_site_label
_atom_site_type_symbol
_atom_site_fract_x
_atom_site_fract_y
_atom_site_fract_z
_atom_site_occupancy
La1 La 0.006 0.000 0.128 1
La2 La 0.070 0.000 0.411 1
La3 La 0.111 0.500 0.773 1
La4 La 0.186 0.500 0.302 1
B1 B 0.028 0.500 0.216 1
B2 B 0.039 0.184 0.270 1
B3 B 0.051 0.500 0.323 1
Br1 Br 0.000 0.500 0.000 1
Br2 Br 0.000 0.500 0.500 1
Br3 Br 0.126 0.000 0.667 1
Br4 Br 0.173 0.000 0.901 1
Br5 Br 0.195 0.000 0.187 1
Br6 Br 0.242 0.500 0.572 1
```

Calculated values
Energy of formation from the pure elements: -20.23 eV per formula unit
V: 1385 Å³/cell